Density functional theory data (PBE with a Hubbard U) for Li4Cr3Co3Sn2O16 after structural relaxation.

Calculated values
Relative energy among the computed polymorphs ... 0 meV/atom
Formation energy from the elements ... -1.97 eV/atom
Uncorrected energy ... -6.375 eV per atom
Mass density ... 4.94 g/cm3
Spin magnetization ... 9.00 μB/f.u.
Energy with MP2020 corrections ... -7.16 eV per atom

a = 5.853 Å, b = 5.860 Å, c = 9.636 Å
α = 90.09°, β = 90.75°, γ = 119.69°
Sites, in units of the cell vectors:
Li1 0.000 0.000 0.000
Li2 0.005 0.999 0.499
Li3 0.327 0.661 0.898
Li4 0.655 0.328 0.396
Cr1 0.656 0.827 0.220
Cr2 0.826 0.656 0.719
Cr3 0.827 0.171 0.722
Co1 0.163 0.335 0.220
Co2 0.165 0.827 0.220
Co3 0.335 0.164 0.720
Sn1 0.326 0.660 0.496
Sn2 0.658 0.325 0.000
O1 0.001 0.007 0.811
O2 0.011 0.000 0.312
O3 0.027 0.514 0.332
O4 0.153 0.315 0.608
O5 0.157 0.838 0.606
O6 0.310 0.151 0.112
O7 0.311 0.657 0.117
O8 0.465 0.963 0.339
O9 0.470 0.507 0.342
O10 0.505 0.472 0.842
O11 0.508 0.027 0.839
O12 0.655 0.315 0.613
O13 0.679 0.844 0.605
O14 0.839 0.155 0.105
O15 0.845 0.681 0.107
O16 0.962 0.470 0.843

Density functional theory data (PBE with a Hubbard U) for AlCr3O6 after structural relaxation.

Calculated values
Formation energy from the elements ... -2.56 eV/atom
Uncorrected energy ... -7.784 eV per atom
Mass density ... 4.23 g/cm3
Spin magnetization ... 9.00 μB/f.u.
Energy with MP2020 corrections ... -8.80 eV per atom

a = 5.908 Å, b = 5.908 Å, c = 14.482 Å
α = 90.00°, β = 90.00°, γ = 120.00°
Sites, in units of the cell vectors:
Al1 0.000 0.000 0.127
Al2 0.000 0.000 0.873
Al3 0.333 0.667 0.455
Al4 0.667 0.333 0.545
Cr1 0.000 0.000 0.500
Cr2 0.000 0.500 0.000
Cr3 0.170 0.340 0.668
Cr4 0.170 0.830 0.668
Cr5 0.333 0.667 0.829
Cr6 0.340 0.170 0.332
Cr7 0.500 0.000 0.000
Cr8 0.500 0.500 0.000
Cr9 0.660 0.830 0.668
Cr10 0.667 0.333 0.171
Cr11 0.830 0.170 0.332
Cr12 0.830 0.660 0.332
O1 0.000 0.000 0.255
O2 0.000 0.000 0.745
O3 0.037 0.519 0.742
O4 0.162 0.324 0.418
O5 0.162 0.838 0.418
O6 0.168 0.337 0.916
O7 0.168 0.832 0.916
O8 0.324 0.162 0.582
O9 0.333 0.667 0.063
O10 0.333 0.667 0.581
O11 0.337 0.168 0.084
O12 0.481 0.519 0.742
O13 0.481 0.963 0.742
O14 0.519 0.037 0.258
O15 0.519 0.481 0.258
O16 0.663 0.832 0.916
O17 0.667 0.333 0.419
O18 0.667 0.333 0.937
O19 0.676 0.838 0.418
O20 0.832 0.168 0.084
O21 0.832 0.663 0.084
O22 0.838 0.162 0.582
O23 0.838 0.676 0.582
O24 0.963 0.481 0.258

Density functional theory data (PBE with a Hubbard U) for MgCo2Ni4O8 after structural relaxation.

Calculated values
Relative energy among the computed polymorphs ... 415 meV/atom
Formation energy from the elements ... -0.86 eV/atom
Uncorrected energy ... -4.830 eV per atom
Mass density ... 4.91 g/cm3
Spin magnetization ... 15.98 μB/f.u.
Energy with MP2020 corrections ... -6.09 eV per atom

a = 6.243 Å, b = 6.234 Å, c = 6.201 Å
α = 60.27°, β = 60.12°, γ = 59.61°
Sites, in units of the cell vectors:
Mg1 0.000 0.000 0.000
Co1 0.500 0.500 0.500
Co2 0.750 0.750 0.750
Ni1 0.142 0.568 0.146
Ni2 0.145 0.146 0.568
Ni3 0.146 0.145 0.142
Ni4 0.568 0.142 0.145
O1 0.371 0.371 0.372
O2 0.371 0.371 0.885
O3 0.372 0.877 0.876
O4 0.372 0.885 0.371
O5 0.875 0.876 0.877
O6 0.876 0.875 0.372
O7 0.877 0.372 0.875
O8 0.885 0.372 0.371

Density functional theory data (PBE with a Hubbard U) for Li2CoP2O8 after structural relaxation.

Calculated values
Formation energy from the elements ... -2.27 eV/atom
Uncorrected energy ... -6.441 eV per atom
Mass density ... 2.43 g/cm3
Spin magnetization ... 5.00 μB/f.u.
Energy with MP2020 corrections ... -6.99 eV per atom

a = 8.293 Å, b = 8.408 Å, c = 10.588 Å
α = 90.15°, β = 90.24°, γ = 103.73°
Sites, in units of the cell vectors:
Li1 0.000 0.000 0.000
Li2 0.005 0.497 0.839
Li3 0.059 0.819 0.735
Li4 0.065 0.314 0.109
Li5 0.172 0.377 0.601
Li6 0.227 0.701 0.493
Li7 0.240 0.183 0.341
Li8 0.256 0.768 0.022
Co1 0.524 0.023 0.835
Co2 0.526 0.516 0.002
Co3 0.708 0.173 0.509
Co4 0.730 0.674 0.329
P1 0.335 0.066 0.588
P2 0.347 0.560 0.250
P3 0.370 0.655 0.767
P4 0.372 0.147 0.074
P5 0.864 0.046 0.268
P6 0.871 0.541 0.574
P7 0.901 0.127 0.754
P8 0.910 0.625 0.079
O1 0.018 0.296 0.752
O2 0.023 0.032 0.332
O3 0.027 0.511 0.515
O4 0.031 0.790 0.058
O5 0.208 0.173 0.025
O6 0.215 0.899 0.593
O7 0.219 0.688 0.838
O8 0.229 0.391 0.252
O9 0.269 0.204 0.532
O10 0.289 0.696 0.315
O11 0.339 0.594 0.634
O12 0.378 0.104 0.212
O13 0.387 0.610 0.105
O14 0.401 0.116 0.728
O15 0.421 0.005 0.991
O16 0.439 0.526 0.845
O17 0.494 0.050 0.511
O18 0.515 0.818 0.775
O19 0.516 0.304 0.046
O20 0.519 0.546 0.310
O21 0.727 0.378 0.570
O22 0.729 0.878 0.273
O23 0.740 0.136 0.833
O24 0.740 0.632 0.013
O25 0.788 0.168 0.349
O26 0.801 0.665 0.489
O27 0.835 0.077 0.615
O28 0.868 0.594 0.223
O29 0.885 0.108 0.133
O30 0.893 0.609 0.708
O31 0.971 0.992 0.812
O32 0.974 0.482 0.026

Question: Which of these has the lowest formation energy from the elements?
Answer: AlCr3O6

Question: Which of these has the lowest formation energy from the elements?
Answer: AlCr3O6

Question: What is the formula in the second record?
Answer: AlCr3O6

Question: Among the records above, which one has the lowest uncorrected energy?
Answer: AlCr3O6